DFT (GGA-PBE) results for a relaxed Tb7MnI12 crystal.

The structure in POSCAR format:
```
Tb7MnI12
1.0
-6.908 4.568 5.281
-4.180 -7.958 -3.960
6.838 -3.161 6.304
Tb Mn I
7 1 12
Direct
0.908 0.710 0.977
0.977 0.908 0.710
0.710 0.977 0.908
0.092 0.290 0.023
0.023 0.092 0.290
0.290 0.023 0.092
0.500 0.500 0.500
0.000 0.000 0.000
0.776 0.316 0.926
0.926 0.776 0.316
0.316 0.926 0.776
0.224 0.684 0.074
0.074 0.224 0.684
0.684 0.074 0.224
0.539 0.615 0.839
0.839 0.539 0.615
0.615 0.839 0.539
0.461 0.385 0.161
0.161 0.461 0.385
0.385 0.161 0.461
```

Output
crystal system	trigonal
total energy	-4.148	eV/atom
calculated volume	786.9	Å³/cell
ΔH_f (0 K)	-1.38	eV/atom